# 1
The following is a DFT calculation (GGA-PBE) of crystalline AgP15 at its relaxed geometry.

Lattice parameters (Å, degrees): 7.2879 9.2141 11.5511 101.16 96.52 108.39
Closest atoms and distances in Å follow each position.
Fractional positions:
P: 0.9472 0.5667 0.8141  3 P 2.17-2.24
P: 0.8600 0.5492 0.6243  2 P 2.17-2.19
P: 0.7055 0.0757 0.1541  3 P 2.21-2.25
P: 0.6726 0.8276 0.0782  3 P 2.21-2.32
P: 0.7884 0.8783 0.7742  3 P 2.20-2.26
P: 0.6770 0.4967 0.8949  3 P 2.20-2.25
P: 0.9011 0.7803 0.2091  3 P 2.20-2.32
P: 0.3738 0.3509 0.3565  3 P 2.19-2.23
P: 0.0989 0.2197 0.7909  3 P 2.20-2.32
P: 0.4520 0.5453 0.7732  3 P 2.21-2.25
P: 0.7660 0.0784 0.3497  3 P 2.25-2.32
P: 0.9641 0.9948 0.6538  3 P 2.20-2.27
P: 0.3274 0.1724 0.9218  3 P 2.21-2.32
P: 0.4611 0.1648 0.6528  3 P 2.23-2.32
P: 0.2116 0.1217 0.2258  3 P 2.20-2.26
P: 0.0066 0.8203 0.8960  3 P 2.21-2.26
P: 0.7319 0.6883 0.3418  3 P 2.20-2.24
P: 0.6262 0.6491 0.6435  3 P 2.19-2.23
P: 0.3994 0.7610 0.1530  3 P 2.20-2.23
P: 0.1400 0.4508 0.3757  2 P 2.17-2.19
P: 0.2681 0.3117 0.6582  3 P 2.20-2.24
Ag: 0.6742 0.2725 0.5029  3 P 2.51-2.59
Ag: 0.3258 0.7275 0.4971  3 P 2.51-2.59
P: 0.5480 0.4547 0.2268  3 P 2.21-2.25
P: 0.0528 0.4333 0.1859  3 P 2.17-2.24
P: 0.5389 0.8352 0.3472  3 P 2.23-2.32
P: 0.3230 0.5033 0.1051  3 P 2.20-2.25
P: 0.2340 0.9216 0.6503  3 P 2.25-2.32
P: 0.9934 0.1797 0.1040  3 P 2.21-2.26
P: 0.2945 0.9243 0.8459  3 P 2.21-2.25
P: 0.0359 0.0052 0.3462  3 P 2.20-2.27
P: 0.6006 0.2390 0.8470  3 P 2.20-2.23

=====

# 2
The following is a DFT calculation (GGA-PBE) of crystalline AgPPd5 at its relaxed geometry.

Lattice parameters (Å, degrees): 3.9688 3.9688 7.0052 90.00 90.00 90.00
Closest atoms and distances in Å follow each position.
Fractional positions:
P: 0.0000 0.0000 0.5000  8 Pd 2.43
Pd: 0.0000 0.0000 0.0000  4 Ag 2.81, 8 Pd 2.89
Pd: 0.5000 0.0000 0.6995  2 P 2.43
Pd: 0.0000 0.5000 0.3005  2 P 2.43
Ag: 0.5000 0.5000 0.0000  12 Pd 2.81-2.89
Pd: 0.5000 0.0000 0.3005  2 P 2.43
Pd: 0.0000 0.5000 0.6995  2 P 2.43

Computed properties:
Size of the total moment = 0.0000 μB per atom

=====

# 3
The following is a DFT calculation (GGA-PBE) of crystalline AgPPt5 at its relaxed geometry.

Lattice parameters (Å, degrees): 3.9630 3.9630 7.1180 90.00 90.00 90.00
Closest atoms and distances in Å follow each position.
Fractional positions:
Ag: 0.5000 0.5000 0.0000  12 Pt 2.80-2.90
Pt: 0.5000 0.0000 0.2970  2 P 2.45
Pt: 0.5000 0.0000 0.7030  2 P 2.45
Pt: 0.0000 0.0000 0.0000  4 Ag 2.80, 8 Pt 2.90
P: 0.0000 0.0000 0.5000  8 Pt 2.45
Pt: 0.0000 0.5000 0.2970  2 P 2.45
Pt: 0.0000 0.5000 0.7030  2 P 2.45

Computed properties:
Size of the total moment = 0.0000 μB per atom

=====

| no. | DFT formation energy (eV per atom) | raw total energy (eV/cell) |
| --- | --- | --- |
| 1 | 0.013 | -167.64 |
| 2 | -0.299 | -36.24 |
| 3 | -0.171 | -39.80 |